(1)
The following is a DFT calculation (PBE) of crystalline ThUMn4Si4 at its relaxed geometry.

density	8.33	g cm⁻³
E	-0.603	Ry/atom
energy with MP2020 corrections	-81.73	eV for the cell shown

abc: 3.9611 3.9611 10.1926
angles: 90.00 90.00 90.00
Closest atoms and distances in Å follow each position.
Atoms (fractional coordinates):
1 Mn 0.0000 0.5000 0.7427  4 Si 2.36-2.39
2 Mn 0.5000 0.0000 0.7427  4 Si 2.36-2.39
3 Mn 0.5000 0.0000 0.2573  4 Si 2.36-2.39
4 Mn 0.0000 0.5000 0.2573  4 Si 2.36-2.39
5 Si 0.0000 0.0000 0.3826  4 Mn 2.36, 1 Si 2.39
6 Si 0.5000 0.5000 0.1260  4 Mn 2.39, 1 Si 2.57
7 Si 0.5000 0.5000 0.8740  4 Mn 2.39, 1 Si 2.57
8 Si 0.0000 0.0000 0.6174  4 Mn 2.36, 1 Si 2.39
9 Th 0.0000 0.0000 0.0000  8 Si 3.08, 8 Mn 3.29
10 U 0.5000 0.5000 0.5000  8 Si 3.05, 8 Mn 3.17


(2)
The following is a DFT calculation (PBE) of crystalline TiMnSi4 at its relaxed geometry.

density	4.64	g cm⁻³
E	-0.504	Ry/atom
energy with MP2020 corrections	-122.66	eV for the cell shown

abc: 12.8039 4.5361 4.5710
angles: 60.55 90.00 90.00
Closest atoms and distances in Å follow each position.
Atoms (fractional coordinates):
1 Si 0.0793 0.8338 0.8448  5 Si 2.47-2.74, 1 Mn 2.52, 4 Ti 2.57-2.67
2 Si 0.5842 0.8372 0.8321  5 Si 2.50-2.66, 2 Mn 2.51-2.55, 3 Ti 2.62-2.66
3 Si 0.0793 0.1662 0.1552  5 Si 2.47-2.74, 1 Mn 2.52, 4 Ti 2.57-2.67
4 Si 0.2525 0.3225 0.8416  5 Si 2.46-2.72, 1 Mn 2.50, 4 Ti 2.58-2.68
5 Si 0.5842 0.1628 0.1679  5 Si 2.50-2.66, 2 Mn 2.51-2.55, 3 Ti 2.62-2.66
6 Si 0.4173 0.1670 0.6733  5 Si 2.46-2.68, 2 Ti 2.53-2.54, 3 Mn 2.59-2.68
7 Si 0.9141 0.8417 0.3322  4 Mn 2.41-2.66, 4 Si 2.47-2.65, 1 Ti 2.53
8 Si 0.4173 0.8330 0.3267  5 Si 2.46-2.68, 2 Ti 2.53-2.54, 3 Mn 2.59-2.68
9 Si 0.2525 0.6775 0.1584  5 Si 2.46-2.72, 1 Mn 2.50, 4 Ti 2.58-2.68
10 Si 0.9141 0.1583 0.6678  4 Mn 2.41-2.66, 4 Si 2.47-2.65, 1 Ti 2.53
11 Si 0.7522 0.3304 0.8393  4 Mn 2.42-2.65, 5 Si 2.47-2.70, 1 Ti 2.52
12 Si 0.7522 0.6696 0.1607  4 Mn 2.42-2.65, 5 Si 2.47-2.70, 1 Ti 2.52
13 Ti 0.2491 0.0000 0.5000  10 Si 2.54-2.68
14 Ti 0.5856 0.5000 0.5000  10 Si 2.52-2.66
15 Ti 0.0813 0.5000 0.5000  10 Si 2.53-2.67
16 Mn 0.9117 0.5000 0.0000  10 Si 2.42-2.66
17 Mn 0.7550 0.0000 0.5000  10 Si 2.41-2.65
18 Mn 0.4180 0.5000 0.0000  10 Si 2.50-2.68


(3)
The following is a DFT calculation (PBE) of crystalline Tm2Mn3Si5 at its relaxed geometry.

density	7.18	g cm⁻³
E	-0.513	Ry/atom
energy with MP2020 corrections	-277.99	eV for the cell shown

abc: 10.5290 10.5290 5.3694
angles: 90.00 90.00 90.00
Closest atoms and distances in Å follow each position.
Atoms (fractional coordinates):
1 Mn 0.8541 0.1214 0.5000  6 Si 2.35-2.40
2 Mn 0.0000 0.5000 0.2500  6 Si 2.39-2.60
3 Mn 0.1214 0.1459 0.5000  6 Si 2.35-2.40
4 Mn 0.3786 0.6459 0.0000  6 Si 2.35-2.40
5 Mn 0.5000 0.0000 0.2500  6 Si 2.39-2.60
6 Mn 0.5000 0.0000 0.7500  6 Si 2.39-2.60
7 Mn 0.6214 0.3541 0.0000  6 Si 2.35-2.40
8 Mn 0.0000 0.5000 0.7500  6 Si 2.39-2.60
9 Mn 0.1459 0.8786 0.5000  6 Si 2.35-2.40
10 Mn 0.3541 0.3786 0.0000  6 Si 2.35-2.40
11 Mn 0.8786 0.8541 0.5000  6 Si 2.35-2.40
12 Mn 0.6459 0.6214 0.0000  6 Si 2.35-2.40
13 Tm 0.7361 0.4239 0.5000  7 Si 2.76-3.02, 2 Mn 3.03
14 Tm 0.2639 0.5761 0.5000  7 Si 2.76-3.02, 2 Mn 3.03
15 Tm 0.0761 0.7639 0.0000  7 Si 2.76-3.02, 2 Mn 3.03
16 Tm 0.5761 0.7361 0.5000  7 Si 2.76-3.02, 2 Mn 3.03
17 Tm 0.7639 0.9239 0.0000  7 Si 2.76-3.02, 2 Mn 3.03
18 Tm 0.4239 0.2639 0.5000  7 Si 2.76-3.02, 2 Mn 3.03
19 Tm 0.2361 0.0761 0.0000  7 Si 2.76-3.02, 2 Mn 3.03
20 Tm 0.9239 0.2361 0.0000  7 Si 2.76-3.02, 2 Mn 3.03
21 Si 0.6745 0.1745 0.2500  3 Mn 2.39-2.60, 2 Si 2.50
22 Si 0.5255 0.8144 0.0000  4 Mn 2.35-2.40, 2 Si 2.50
23 Si 0.0255 0.6856 0.5000  4 Mn 2.35-2.40, 2 Si 2.50
24 Si 0.3255 0.8255 0.2500  3 Mn 2.39-2.60, 2 Si 2.50
25 Si 0.9745 0.3144 0.5000  4 Mn 2.35-2.40, 2 Si 2.50
26 Si 0.3255 0.8255 0.7500  3 Mn 2.39-2.60, 2 Si 2.50
27 Si 0.8255 0.6745 0.2500  3 Mn 2.39-2.60, 2 Si 2.50
28 Si 0.3144 0.0255 0.5000  4 Mn 2.35-2.40, 2 Si 2.50
29 Si 0.5000 0.5000 0.7554  4 Mn 2.39, 1 Si 2.63
30 Si 0.6856 0.9745 0.5000  4 Mn 2.35-2.40, 2 Si 2.50
31 Si 0.8144 0.4745 0.0000  4 Mn 2.35-2.40, 2 Si 2.50
32 Si 0.1745 0.3255 0.2500  3 Mn 2.39-2.60, 2 Si 2.50
33 Si 0.8255 0.6745 0.7500  3 Mn 2.39-2.60, 2 Si 2.50
34 Si 0.4745 0.1856 0.0000  4 Mn 2.35-2.40, 2 Si 2.50
35 Si 0.6745 0.1745 0.7500  3 Mn 2.39-2.60, 2 Si 2.50
36 Si 0.1745 0.3255 0.7500  3 Mn 2.39-2.60, 2 Si 2.50
37 Si 0.5000 0.5000 0.2446  4 Mn 2.39, 1 Si 2.63
38 Si 0.0000 0.0000 0.7446  4 Mn 2.39, 1 Si 2.63
39 Si 0.1856 0.5255 0.0000  4 Mn 2.35-2.40, 2 Si 2.50
40 Si 0.0000 0.0000 0.2554  4 Mn 2.39, 1 Si 2.63


| no. | ΔH_f (0 K) (eV per atom) |
| --- | --- |
| 1 | -0.47 |
| 2 | -0.35 |
| 3 | -0.59 |